A relaxed Ca9LaMn10O30 crystal, computed with PBE+U.

Unit cell a=7.6364 b=9.2981 c=17.0596 alpha=90.29 beta=90.19 gamma=114.14
Space group P1 (No. 1)
Asymmetric unit:
Ca: 0.0000 0.0000 0.0000 (multiplicity 1)
Ca: 0.0350 0.0156 0.4798 (multiplicity 1)
Ca: 0.0934 0.2025 0.7945 (multiplicity 1)
Ca: 0.1428 0.2120 0.2821 (multiplicity 1)
Ca: 0.1981 0.3962 0.5983 (multiplicity 1)
Ca: 0.2354 0.4177 0.0796 (multiplicity 1)
Ca: 0.3415 0.6128 0.8840 (multiplicity 1)
Ca: 0.4007 0.8002 0.1975 (multiplicity 1)
Ca: 0.4372 0.8175 0.6800 (multiplicity 1)
Ca: 0.4926 0.0034 0.9945 (multiplicity 1)
Ca: 0.5452 0.0152 0.4845 (multiplicity 1)
Ca: 0.5978 0.1975 0.7974 (multiplicity 1)
Ca: 0.6354 0.2169 0.2800 (multiplicity 1)
Ca: 0.6889 0.4016 0.5944 (multiplicity 1)
Ca: 0.7436 0.4119 0.0834 (multiplicity 1)
Ca: 0.7994 0.5978 0.3990 (multiplicity 1)
Ca: 0.8925 0.8017 0.1940 (multiplicity 1)
Ca: 0.9454 0.8142 0.6839 (multiplicity 1)
La: 0.3027 0.6038 0.3931 (multiplicity 1)
La: 0.8292 0.6130 0.8837 (multiplicity 1)
Mn: 0.0150 0.5070 0.2378 (multiplicity 1)
Mn: 0.0186 0.5061 0.7376 (multiplicity 1)
Mn: 0.1168 0.7088 0.5407 (multiplicity 1)
Mn: 0.1208 0.7098 0.0408 (multiplicity 1)
Mn: 0.2163 0.9100 0.3382 (multiplicity 1)
Mn: 0.2208 0.9099 0.8386 (multiplicity 1)
Mn: 0.3173 0.1076 0.6391 (multiplicity 1)
Mn: 0.3185 0.1087 0.1393 (multiplicity 1)
Mn: 0.4140 0.3047 0.9397 (multiplicity 1)
Mn: 0.4177 0.3033 0.4395 (multiplicity 1)
Mn: 0.5145 0.5070 0.7373 (multiplicity 1)
Mn: 0.5193 0.5066 0.2376 (multiplicity 1)
Mn: 0.6159 0.7094 0.0405 (multiplicity 1)
Mn: 0.6214 0.7099 0.5410 (multiplicity 1)
Mn: 0.7167 0.9105 0.8382 (multiplicity 1)
Mn: 0.7209 0.9103 0.3384 (multiplicity 1)
Mn: 0.8175 0.1077 0.1394 (multiplicity 1)
Mn: 0.8181 0.1083 0.6392 (multiplicity 1)
Mn: 0.9152 0.3048 0.4397 (multiplicity 1)
Mn: 0.9184 0.3035 0.9394 (multiplicity 1)
O: 0.0446 0.0602 0.1435 (multiplicity 1)
O: 0.0606 0.4953 0.5016 (multiplicity 1)
O: 0.0791 0.1299 0.6610 (multiplicity 1)
O: 0.0805 0.5729 0.1306 (multiplicity 1)
O: 0.0977 0.7271 0.2700 (multiplicity 1)
O: 0.1181 0.6437 0.6483 (multiplicity 1)
O: 0.1199 0.7733 0.4302 (multiplicity 1)
O: 0.1387 0.6877 0.8087 (multiplicity 1)
O: 0.1519 0.8411 0.9472 (multiplicity 1)
O: 0.1577 0.2880 0.4174 (multiplicity 1)
O: 0.1736 0.9203 0.5766 (multiplicity 1)
O: 0.1910 0.3538 0.9356 (multiplicity 1)
O: 0.2429 0.4591 0.7421 (multiplicity 1)
O: 0.2610 0.8954 0.1022 (multiplicity 1)
O: 0.2773 0.5280 0.2568 (multiplicity 1)
O: 0.2822 0.9725 0.7307 (multiplicity 1)
O: 0.2959 0.1268 0.8692 (multiplicity 1)
O: 0.3166 0.0443 0.2480 (multiplicity 1)
O: 0.3194 0.1729 0.0301 (multiplicity 1)
O: 0.3388 0.0872 0.4093 (multiplicity 1)
O: 0.3519 0.2406 0.5477 (multiplicity 1)
O: 0.3565 0.6859 0.0186 (multiplicity 1)
O: 0.3749 0.3206 0.1757 (multiplicity 1)
O: 0.3908 0.7543 0.5340 (multiplicity 1)
O: 0.4468 0.8670 0.3415 (multiplicity 1)
O: 0.4603 0.2949 0.7011 (multiplicity 1)
O: 0.4799 0.3753 0.3312 (multiplicity 1)
O: 0.4796 0.9317 0.8603 (multiplicity 1)
O: 0.5001 0.5241 0.4729 (multiplicity 1)
O: 0.5074 0.4380 0.8465 (multiplicity 1)
O: 0.5171 0.5732 0.6305 (multiplicity 1)
O: 0.5447 0.4907 0.0060 (multiplicity 1)
O: 0.5554 0.6439 0.1475 (multiplicity 1)
O: 0.5562 0.0854 0.6180 (multiplicity 1)
O: 0.5756 0.7195 0.7773 (multiplicity 1)
O: 0.5910 0.1556 0.1352 (multiplicity 1)
O: 0.6470 0.2642 0.9420 (multiplicity 1)
O: 0.6533 0.6932 0.3035 (multiplicity 1)
O: 0.6769 0.7776 0.9310 (multiplicity 1)
O: 0.6791 0.3277 0.4608 (multiplicity 1)
O: 0.6954 0.9281 0.0697 (multiplicity 1)
O: 0.7118 0.8394 0.4476 (multiplicity 1)
O: 0.7197 0.9727 0.2300 (multiplicity 1)
O: 0.7402 0.8878 0.6098 (multiplicity 1)
O: 0.7537 0.0440 0.7476 (multiplicity 1)
O: 0.7558 0.4861 0.2170 (multiplicity 1)
O: 0.7752 0.1208 0.3764 (multiplicity 1)
O: 0.7897 0.5540 0.7356 (multiplicity 1)
O: 0.8452 0.6604 0.5439 (multiplicity 1)
O: 0.8629 0.0949 0.9017 (multiplicity 1)
O: 0.8790 0.7293 0.0582 (multiplicity 1)
O: 0.8825 0.1711 0.5304 (multiplicity 1)
O: 0.8960 0.3283 0.6679 (multiplicity 1)
O: 0.9166 0.2411 0.0481 (multiplicity 1)
O: 0.9187 0.3743 0.8303 (multiplicity 1)
O: 0.9376 0.2877 0.2090 (multiplicity 1)
O: 0.9548 0.4428 0.3476 (multiplicity 1)
O: 0.9554 0.8847 0.8183 (multiplicity 1)
O: 0.9826 0.5187 0.9781 (multiplicity 1)
O: 0.9908 0.9557 0.3349 (multiplicity 1)

Summary:
- Calculated volume: 11.05 Å³ per atom
- Energy relative to the elements: -2.557 eV per atom
- E: -7.07 eV per atom
- Energy with MP2020 corrections: -7.8181 eV per atom